Compound: Lu2IrRu
Source: the Materials Project database
Functional: r2SCAN
Structure: relaxed

abc: 6.6264 6.6264 6.6264
angles: 90.00 90.00 90.00
Space group Fm-3m (No. 225)
Inequivalent atoms, fractional coordinates:
1 Lu 0.2500 0.2500 0.2500 x8
2 Ir 0.0000 0.0000 0.0000 x4
3 Ru 0.0000 0.0000 0.5000 x4

Properties
ΔH_f (0 K) = -0.87 eV/atom
Electronic total energy = -39.352 eV per atom
Crystal system = cubic
Mass density = 14.7 g/cm3

---

Compound: K9Gd3Si12O32F2
Source: the Materials Project database
Functional: r2SCAN
Structure: relaxed

abc: 6.8868 11.3872 11.4622
angles: 87.50 89.61 80.26
Space group P-1 (No. 2)
Inequivalent atoms, fractional coordinates:
1 K 0.0000 0.0000 0.0000 x1
2 K 0.2294 0.3859 0.9811 x2
3 K 0.3302 0.1939 0.2213 x2
4 K 0.3323 0.1531 0.7856 x2
5 K 0.4856 0.6694 0.4877 x2
6 Gd 0.0141 0.5141 0.6639 x2
7 Gd 0.5000 0.0000 0.5000 x1
8 Si 0.0536 0.2325 0.5115 x2
9 Si 0.1566 0.9105 0.3031 x2
10 Si 0.1630 0.8617 0.6895 x2
11 Si 0.1879 0.6962 0.1613 x2
12 Si 0.2153 0.6654 0.8830 x2
13 Si 0.4826 0.4844 0.2576 x2
14 O 0.0016 0.3491 0.7856 x2
15 O 0.0094 0.7895 0.6254 x2
16 O 0.0305 0.3754 0.5173 x2
17 O 0.0416 0.6015 0.8416 x2
18 O 0.0438 0.9929 0.7239 x2
19 O 0.1161 0.8153 0.4065 x2
20 O 0.1895 0.8377 0.1819 x2
21 O 0.2040 0.6846 0.0215 x2
22 O 0.2174 0.7959 0.8181 x2
23 O 0.2681 0.1619 0.5428 x2
24 O 0.3110 0.4201 0.3107 x2
25 O 0.3414 0.5139 0.6524 x2
26 O 0.3433 0.9689 0.3302 x2
27 O 0.3565 0.8706 0.6172 x2
28 O 0.3979 0.6251 0.2158 x2
29 O 0.4335 0.5829 0.8634 x2
30 F 0.2475 0.1579 0.0043 x2

Properties
ΔH_f (0 K) = -3.03 eV/atom
Electronic total energy = -11.426 eV per atom
Crystal system = triclinic
Mass density = 3.2 g/cm3

---

Compound: LuSF
Source: the Materials Project database
Functional: r2SCAN
Structure: relaxed

abc: 3.9258 3.9258 24.5663
angles: 90.00 90.00 120.00
Space group R-3m (No. 166, hexagonal axes)
Inequivalent atoms, fractional coordinates:
1 Lu 0.0000 0.0000 0.0000 x3
2 Lu 0.0000 0.0000 0.5000 x3
3 S 0.0000 0.0000 0.1089 x6
4 F 0.0000 0.0000 0.3324 x6

Properties
ΔH_f (0 K) = -3.29 eV/atom
Electronic total energy = -19.703 eV per atom
Crystal system = trigonal
Mass density = 6.9 g/cm3

---

Compound: Li4NbFeTe2O12
Source: the Materials Project database
Functional: r2SCAN
Structure: relaxed

abc: 5.0853 5.3962 7.4200
angles: 85.53 89.87 89.90
Space group P1 (No. 1)
Inequivalent atoms, fractional coordinates:
1 Li 0.0000 0.0000 0.0000 x1
2 Li 0.0024 0.1169 0.5862 x1
3 Li 0.4968 0.6403 0.0575 x1
4 Li 0.5017 0.6703 0.5968 x1
5 Nb 0.0003 0.5589 0.2956 x1
6 Fe 0.5001 0.0836 0.7903 x1
7 Te 0.5004 0.0670 0.2875 x1
8 Te 0.9969 0.5606 0.7920 x1
9 O 0.1310 0.5533 0.5432 x1
10 O 0.1679 0.2482 0.8415 x1
11 O 0.1996 0.8723 0.2173 x1
12 O 0.2996 0.7448 0.8460 x1
13 O 0.3246 0.3740 0.2199 x1
14 O 0.3744 0.0478 0.5272 x1
15 O 0.6257 0.0462 0.0479 x1
16 O 0.6802 0.7500 0.3490 x1
17 O 0.6979 0.3817 0.7174 x1
18 O 0.8102 0.8617 0.7279 x1
19 O 0.8154 0.2377 0.3537 x1
20 O 0.8717 0.5675 0.0371 x1

Properties
ΔH_f (0 K) = -1.90 eV/atom
Electronic total energy = -10.464 eV per atom
Crystal system = triclinic
Mass density = 5.1 g/cm3

---

Compound: BaSb2Au2
Source: the Materials Project database
Functional: r2SCAN
Structure: relaxed

abc: 5.0072 4.8512 11.0524
angles: 90.00 91.03 90.00
Space group P2_1/m (No. 11)
Inequivalent atoms, fractional coordinates:
1 Ba 0.2404 0.2500 0.2445 x2
2 Sb 0.2523 0.7500 0.4970 x2
3 Sb 0.2998 0.2500 0.8767 x2
4 Au 0.1944 0.7500 0.9990 x2
5 Au 0.2480 0.2500 0.6300 x2

Properties
ΔH_f (0 K) = -0.65 eV/atom
Electronic total energy = -36.471 eV per atom
Crystal system = monoclinic
Mass density = 9.6 g/cm3

---

Compound: LiNiF3
Source: the Materials Project database
Functional: r2SCAN
Structure: relaxed

abc: 5.0492 5.0492 13.8078
angles: 90.00 90.00 120.00
Space group R-3 (No. 148, hexagonal axes)
Inequivalent atoms, fractional coordinates:
1 Li 0.0000 0.0000 0.2022 x6
2 Ni 0.0000 0.0000 0.0000 x3
3 Ni 0.0000 0.0000 0.5000 x3
4 F 0.0135 0.6954 0.0894 x18

Properties
ΔH_f (0 K) = -2.60 eV/atom
Electronic total energy = -7.346 eV per atom
Crystal system = trigonal
Mass density = 4.0 g/cm3

---

Compound: SnRh2
Source: the Materials Project database
Functional: r2SCAN
Structure: relaxed

abc: 5.5501 4.2457 8.0463
angles: 90.00 90.00 90.00
Space group Pnma (No. 62)
Inequivalent atoms, fractional coordinates:
1 Sn 0.1914 0.2500 0.1012 x4
2 Rh 0.0452 0.2500 0.7752 x4
3 Rh 0.1700 0.2500 0.4310 x4

Properties
ΔH_f (0 K) = -0.37 eV/atom
Electronic total energy = -24.707 eV per atom
Crystal system = orthorhombic
Mass density = 11.4 g/cm3

---

Compound: TeWCl9
Source: the Materials Project database
Functional: r2SCAN
Structure: relaxed

abc: 6.4975 9.3438 11.3886
angles: 73.27 74.01 88.48
Space group P-1 (No. 2)
Inequivalent atoms, fractional coordinates:
1 Te 0.1249 0.1609 0.1676 x2
2 W 0.4283 0.2390 0.7050 x2
3 Cl 0.0739 0.1167 0.8228 x2
4 Cl 0.0936 0.8679 0.6286 x2
5 Cl 0.1137 0.7033 0.9346 x2
6 Cl 0.2373 0.6479 0.3954 x2
7 Cl 0.2841 0.4592 0.7236 x2
8 Cl 0.3082 0.3760 0.1623 x2
9 Cl 0.3513 0.2496 0.5219 x2
10 Cl 0.4378 0.0071 0.2960 x2
11 Cl 0.4939 0.1890 0.9062 x2

Properties
ΔH_f (0 K) = -0.80 eV/atom
Electronic total energy = -12.812 eV per atom
Crystal system = triclinic
Mass density = 3.3 g/cm3

---

- Among the records above, which one has the lowest ΔH_f (0 K)?
  LuSF